# Na4Bi2AsC4O16 | Materials Project | PBE | relaxed
# **Formation energy**: -1.802 eV per atom
# **Raw total energy**: -6.351 eV per atom
data_Na4Bi2AsC4O16
_chemical_formula_sum 'Na32 Bi16 As8 C32 O128'
_space_group_name_H-M_alt 'F d d d'
_space_group_IT_number 70
_cell_length_a 14.4534
_cell_length_b 14.7447
_cell_length_c 15.5211
_cell_angle_alpha 90.00
_cell_angle_beta 90.00
_cell_angle_gamma 90.00
loop_
_space_group_symop_operation_xyz
'x,y,z'
'-x,-y,-z'
'-x+1/4,-y+1/4,z'
'x+1/4,y+1/4,-z'
'x,-y+1/4,-z+1/4'
'-x,y+1/4,z+1/4'
'-x+1/4,y,-z+1/4'
'x+1/4,-y,z+1/4'
'x,y+1/2,z+1/2'
'-x,-y+1/2,-z+1/2'
'-x+1/4,-y+3/4,z+1/2'
'x+1/4,y+3/4,-z+1/2'
'x,-y+3/4,-z+3/4'
'-x,y+3/4,z+3/4'
'-x+1/4,y+1/2,-z+3/4'
'x+1/4,-y+1/2,z+3/4'
'x+1/2,y,z+1/2'
'-x+1/2,-y,-z+1/2'
'-x+3/4,-y+1/4,z+1/2'
'x+3/4,y+1/4,-z+1/2'
'x+1/2,-y+1/4,-z+3/4'
'-x+1/2,y+1/4,z+3/4'
'-x+3/4,y,-z+3/4'
'x+3/4,-y,z+3/4'
'x+1/2,y+1/2,z'
'-x+1/2,-y+1/2,-z'
'-x+3/4,-y+3/4,z'
'x+3/4,y+3/4,-z'
'x+1/2,-y+3/4,-z+1/4'
'-x+1/2,y+3/4,z+1/4'
'-x+3/4,y+1/2,-z+1/4'
'x+3/4,-y+1/2,z+1/4'
loop_
_atom_site_label
_atom_site_type_symbol
_atom_site_fract_x
_atom_site_fract_y
_atom_site_fract_z
_atom_site_occupancy
Na1 Na 0.0807 0.3750 0.3750 1
Na2 Na 0.1250 0.3293 0.1250 1
Bi1 Bi 0.0000 0.0000 0.5000 1
As1 As 0.1250 0.1250 0.1250 1
C1 C 0.0267 0.0296 0.7145 1
O1 O 0.0165 0.0910 0.7737 1
O2 O 0.0276 0.2789 0.8980 1
O3 O 0.0540 0.0538 0.0666 1
O4 O 0.0911 0.2822 0.5273 1